1.
Na3Y3TaP5SO24 (PBE, optimized geometry); space-group type = P1; uncorrected energy = -7.574 eV per atom
1.0
9.1130 -0.0218 -0.0121
-4.5753 7.8898 0.0051
-0.0307 -0.0023 23.7336
O P Na Y Ta S
72 15 9 9 3 3
Direct
0.8002 0.8056 0.9082
0.1298 0.4908 0.5765
0.9747 0.7885 0.8026
0.0447 0.8134 0.6984
0.8506 0.5032 0.4306
0.3117 0.4475 0.4700
0.2168 0.1957 0.8037
0.4798 0.3496 0.1338
0.7847 0.8050 0.1989
0.8052 0.0161 0.8045
0.5137 0.8218 0.7656
0.3190 0.8647 0.9727
0.6449 0.1289 0.1325
0.6821 0.1655 0.0264
0.1907 0.2329 0.6985
0.9650 0.1667 0.5810
0.1347 0.6514 0.0757
0.4844 0.3193 0.0272
0.4685 0.1495 0.5284
0.8302 0.0368 0.0803
0.4822 0.3467 0.7464
0.5044 0.3466 0.4302
0.3145 0.4887 0.7646
0.5424 0.6831 0.9682
0.8106 0.0032 0.4126
0.9829 0.1981 0.3006
0.2106 0.1601 0.0799
0.8703 0.3447 0.6347
0.4748 0.1260 0.6311
0.2082 0.0111 0.3037
0.6321 0.4891 0.9243
0.5137 0.6430 0.5772
0.1692 0.6866 0.7659
0.8514 0.5283 0.7463
0.7625 0.9451 0.7007
0.1487 0.6966 0.4695
0.8568 0.3692 0.9233
0.0113 0.8186 0.4118
0.0148 0.2129 0.1985
0.8001 0.7883 0.3010
0.1327 0.4981 0.8649
0.3641 0.8621 0.8670
0.1953 0.1832 0.4127
0.5297 0.6839 0.2535
0.8726 0.5218 0.1337
0.6876 0.5352 0.2473
0.5124 0.1430 0.9240
0.5040 0.6326 0.8630
0.8515 0.3195 0.2470
0.3766 0.4749 0.3653
0.2095 0.0349 0.5817
0.3134 0.8357 0.2532
0.5164 0.9039 0.3679
0.8399 0.5193 0.0269
0.6618 0.1377 0.7466
0.1948 0.9910 0.9091
0.9681 0.7988 0.0803
0.1588 0.4678 0.2533
0.3554 0.4832 0.0759
0.0054 0.2013 0.9086
0.6767 0.5133 0.5318
0.5470 0.8638 0.4715
0.3575 0.8758 0.5757
0.6438 0.1536 0.4313
0.8368 0.7962 0.5820
0.5057 0.8770 0.0741
0.8396 0.3210 0.5290
0.4755 0.1583 0.2485
0.1008 0.6230 0.3656
0.1936 0.9838 0.1957
0.1379 0.4570 0.9696
0.6522 0.5273 0.6382
0.0338 0.6638 0.4189
0.0091 0.7072 0.7524
0.6696 0.0504 0.0793
0.3811 0.3315 0.0801
0.6934 0.9897 0.7539
0.6222 0.6572 0.9161
0.2965 0.3063 0.7526
0.2970 0.9970 0.2500
0.0338 0.3778 0.9171
0.3426 0.3682 0.4186
0.6323 0.9743 0.4206
0.3438 0.9638 0.9188
0.9564 0.3305 0.5820
0.6705 0.6249 0.5840
0.9535 0.6219 0.0804
0.3321 0.0222 0.4147
0.9880 0.9996 0.9984
0.3316 0.6623 0.1678
0.6656 0.3214 0.8325
0.9814 0.9993 0.5010
0.6649 0.3332 0.3293
0.6475 0.6438 0.7497
0.3013 0.9615 0.0837
0.3198 0.6577 0.6632
0.6635 0.3305 0.1851
0.9983 0.9994 0.1443
0.3337 0.6711 0.3192
0.9995 0.0022 0.3519
0.0045 0.0035 0.8528
0.3346 0.6597 0.0177
0.3350 0.6588 0.5177
0.9959 0.0019 0.6491
0.6707 0.3301 0.6866
0.6693 0.3367 0.9787
0.6791 0.3457 0.4826
0.3276 0.6655 0.8187
0.3759 0.0449 0.5801
0.7012 0.7035 0.2501
0.0024 0.2991 0.2497



2.
NaY3TaP3S3O24 (PBE, optimized geometry); space-group type = P1; uncorrected energy = -7.525 eV per atom
1.0
-5.6301 2.8574 -6.5195
3.1020 -8.5195 -0.0787
-18.6328 -6.8388 13.1385
Ta O P S Na Y
3 72 9 9 3 9
Direct
0.6595 0.3324 0.1823
0.3309 0.6569 0.5221
0.0012 0.9932 0.6448
0.8180 0.0304 0.7980
0.8229 0.0270 0.0917
0.3482 0.8738 0.8653
0.4621 0.3078 0.0316
0.9723 0.7963 0.8003
0.7136 0.5699 0.5325
0.4947 0.3634 0.4259
0.1600 0.7094 0.7490
0.1774 0.9735 0.9138
0.9011 0.3781 0.6337
0.8256 0.7712 0.3024
0.0402 0.8196 0.4159
0.8623 0.3575 0.9169
0.4324 0.1434 0.5327
0.2025 0.9895 0.1989
0.1130 0.6234 0.0849
0.8538 0.5106 0.1368
0.3322 0.8447 0.5656
0.0140 0.2168 0.1999
0.6595 0.1543 0.1379
0.1713 0.2106 0.4137
0.5210 0.8460 0.4694
0.6948 0.1527 0.7401
0.5345 0.6659 0.2573
0.0213 0.1954 0.9152
0.1273 0.4652 0.2576
0.0032 0.8282 0.6951
0.2347 0.0515 0.2993
0.1428 0.4661 0.9701
0.0003 0.1791 0.6004
0.5270 0.6554 0.8647
0.6182 0.5214 0.6337
0.5002 0.8798 0.0828
0.3715 0.4927 0.0836
0.6378 0.1247 0.4255
0.4558 0.2972 0.7397
0.2099 0.1835 0.7977
0.7972 0.8047 0.1982
0.9717 0.7887 0.0929
0.2040 0.1698 0.0917
0.1562 0.6762 0.4696
0.1520 0.4834 0.5673
0.7793 0.9588 0.4149
0.8791 0.5103 0.4250
0.5142 0.6680 0.5673
0.6408 0.5125 0.9183
0.5530 0.8444 0.7502
0.8546 0.2842 0.5324
0.1806 0.9975 0.5990
0.8130 0.9922 0.6965
0.8267 0.3080 0.2404
0.6963 0.1561 0.0325
0.6921 0.5121 0.2371
0.4823 0.1706 0.2397
0.1320 0.4761 0.8631
0.8493 0.5438 0.0350
0.4940 0.3421 0.1375
0.1290 0.6433 0.3676
0.5425 0.6836 0.9673
0.4781 0.0957 0.6338
0.4840 0.1314 0.9178
0.3595 0.4895 0.3662
0.5133 0.8769 0.3677
0.1777 0.1862 0.6961
0.7978 0.8198 0.9141
0.9516 0.1845 0.2999
0.8177 0.8202 0.5990
0.8367 0.5354 0.7401
0.2989 0.4481 0.7486
0.3310 0.8688 0.2571
0.3207 0.8616 0.9677
0.3257 0.4865 0.4711
0.3766 0.3285 0.0832
0.7141 0.6962 0.2494
0.9692 0.3280 0.5835
0.6662 0.6379 0.5834
0.6666 0.0472 0.0844
0.0418 0.3759 0.9168
0.3369 0.3820 0.4180
0.3628 0.0252 0.5830
0.9937 0.7126 0.7479
0.2871 0.2810 0.7463
0.6236 0.6670 0.9159
0.3055 0.0141 0.2488
0.9828 0.2920 0.2496
0.7169 0.0030 0.7465
0.9502 0.6184 0.0860
0.6137 0.9518 0.4192
0.0503 0.6623 0.4188
0.3321 0.9567 0.9166
0.6888 0.3457 0.8345
0.6625 0.3442 0.3356
0.0027 0.0240 0.9991
0.6684 0.3287 0.9788
0.6627 0.3336 0.4886
0.9990 0.0019 0.8539
0.6707 0.3368 0.6783
0.9981 0.9969 0.3580
0.3342 0.6604 0.0263
0.3418 0.6626 0.3096
0.3184 0.6612 0.8073
0.9945 0.0017 0.1483



3.
NaY2Ta2P5SO24 (PBE, optimized geometry); space-group type = P1; uncorrected energy = -7.897 eV per atom
1.0
8.9635 0.0068 -0.0002
-4.4758 7.7679 0.0138
-0.0003 0.0394 23.3638
O Na Ta Y S P
72 3 6 6 3 15
Direct
0.7985 0.9983 0.0889
0.9854 0.8142 0.8085
0.6169 0.5151 0.6358
0.9531 0.1569 0.3045
0.1350 0.6187 0.0720
0.3811 0.5172 0.0720
0.3097 0.4719 0.7683
0.9995 0.1957 0.1974
0.3406 0.8830 0.2612
0.5233 0.8744 0.3612
0.8412 0.5338 0.7551
0.0376 0.8142 0.7016
0.6837 0.5433 0.5308
0.1268 0.6488 0.3618
0.1854 0.2211 0.7012
0.0432 0.8510 0.4045
0.4888 0.6429 0.5662
0.0124 0.2070 0.5898
0.8280 0.0149 0.8086
0.1989 0.9967 0.5896
0.1934 0.9932 0.1977
0.1239 0.4555 0.2603
0.9018 0.3802 0.6331
0.4784 0.1171 0.9158
0.8632 0.4961 0.1359
0.4808 0.0968 0.6330
0.3556 0.8503 0.5695
0.5350 0.8350 0.4673
0.4658 0.3170 0.0281
0.2016 0.1990 0.0879
0.3337 0.8432 0.8632
0.4686 0.3305 0.4232
0.5103 0.6672 0.8634
0.7782 0.9661 0.7019
0.8008 0.8110 0.5910
0.6918 0.1609 0.7550
0.1471 0.5088 0.5688
0.1625 0.6904 0.7689
0.4533 0.1320 0.5313
0.4647 0.3054 0.7553
0.7944 0.7975 0.1986
0.3573 0.4806 0.3615
0.6684 0.1364 0.4234
0.9935 0.7959 0.0889
0.6850 0.1487 0.0286
0.8666 0.3148 0.5317
0.1523 0.9531 0.9098
0.5285 0.8387 0.7687
0.8006 0.8480 0.9102
0.2992 0.8307 0.9706
0.7124 0.5255 0.2441
0.2025 0.0473 0.3043
0.3018 0.4672 0.4676
0.8070 0.9561 0.4047
0.1507 0.1978 0.4069
0.8323 0.7841 0.3019
0.5006 0.3647 0.1354
0.8063 0.2864 0.2419
0.5476 0.6673 0.2583
0.6318 0.1318 0.1359
0.1576 0.4899 0.8635
0.8646 0.5317 0.4222
0.5310 0.7000 0.9707
0.0470 0.1985 0.9103
0.1652 0.7025 0.4679
0.4813 0.8631 0.0719
0.4771 0.1968 0.2413
0.8830 0.3607 0.9159
0.1684 0.4677 0.9709
0.8504 0.5341 0.0283
0.6396 0.5221 0.9157
0.1838 0.1712 0.8082
0.6688 0.3326 0.3377
0.6663 0.3320 0.8312
0.0008 0.9995 0.0049
0.9993 0.0000 0.8555
0.0077 0.0107 0.3569
0.6641 0.3254 0.1839
0.3317 0.6655 0.0234
0.3342 0.6667 0.8123
0.3387 0.6681 0.5135
0.0033 0.0023 0.1451
0.6669 0.3332 0.9727
0.3304 0.6675 0.3075
0.6698 0.3390 0.4806
0.6638 0.3410 0.6874
0.9947 0.9949 0.6479
0.9781 0.3491 0.5815
0.7217 0.6987 0.2509
0.3724 0.0233 0.5814
0.0609 0.3799 0.9160
0.3268 0.3741 0.4142
0.0024 0.7111 0.7559
0.6542 0.6289 0.5820
0.9781 0.2763 0.2507
0.3862 0.3445 0.0808
0.2876 0.2905 0.7552
0.9568 0.6127 0.0811
0.3199 0.9393 0.9157
0.6544 0.0381 0.0806
0.2986 0.0231 0.2510
0.6197 0.6804 0.9161
0.0487 0.6788 0.4142
0.7085 0.0003 0.7558
0.6308 0.9535 0.4134



4.
Na2Y3TaP4S2O24 (PBE, optimized geometry); space-group type = P1; uncorrected energy = -7.556 eV per atom
1.0
9.0494 -0.0017 0.0072
-4.5262 7.8302 -0.0152
0.0165 -0.0322 23.8990
O Na P S Ta Y
72 6 12 6 3 9
Direct
0.4773 0.3416 0.1339
0.8606 0.5205 0.7459
0.3639 0.4898 0.0769
0.2174 0.0159 0.3022
0.0478 0.8092 0.6993
0.3209 0.8600 0.9698
0.1852 0.2106 0.4083
0.8626 0.3142 0.5319
0.8546 0.3310 0.2482
0.9819 0.7874 0.8032
0.3133 0.4887 0.7658
0.8044 0.7851 0.3032
0.5112 0.8252 0.7659
0.1393 0.4580 0.9690
0.0037 0.2004 0.9083
0.1509 0.6558 0.3626
0.1749 0.6867 0.7654
0.9884 0.1964 0.3041
0.4798 0.3407 0.7460
0.8239 0.8025 0.5860
0.8377 0.5154 0.0272
0.5139 0.1441 0.9258
0.4940 0.3728 0.4150
0.5176 0.8793 0.0761
0.9564 0.7956 0.0807
0.1928 0.9587 0.2019
0.1425 0.6796 0.4679
0.2030 0.1639 0.0805
0.5421 0.6839 0.9696
0.5124 0.6864 0.2647
0.6299 0.4891 0.9246
0.8266 0.0403 0.0815
0.6600 0.1396 0.7462
0.8704 0.5026 0.4133
0.4550 0.1391 0.5317
0.3480 0.4886 0.3639
0.1958 0.9944 0.9092
0.1312 0.4992 0.8651
0.2130 0.1950 0.8031
0.5379 0.8544 0.4679
0.1910 0.2386 0.6993
0.0332 0.8286 0.4091
0.5014 0.6345 0.8654
0.3510 0.8678 0.5803
0.3126 0.8319 0.2613
0.5140 0.6466 0.5796
0.7674 0.8106 0.1991
0.6826 0.5437 0.5315
0.5051 0.8479 0.3629
0.8003 0.8064 0.9088
0.6578 0.5186 0.2477
0.6802 0.1561 0.0297
0.9786 0.1737 0.5865
0.8557 0.3703 0.9245
0.7976 0.9779 0.4105
0.8786 0.3479 0.6331
0.1708 0.4869 0.2651
0.0440 0.2312 0.1994
0.7606 0.9517 0.6994
0.6228 0.1272 0.4138
0.8718 0.5219 0.1333
0.4710 0.1352 0.2469
0.8059 0.0185 0.8032
0.6514 0.1276 0.1322
0.1297 0.6444 0.0758
0.6532 0.5295 0.6329
0.4843 0.3214 0.0274
0.1965 0.0225 0.5862
0.3156 0.4579 0.4654
0.4698 0.1254 0.6330
0.3673 0.8681 0.8657
0.1349 0.4828 0.5795
0.6672 0.3309 0.8305
0.6849 0.3421 0.3303
0.9913 0.9892 0.4992
0.3270 0.6503 0.1598
0.0076 0.9998 0.9977
0.3341 0.6664 0.6725
0.6938 0.7026 0.2520
0.9523 0.6234 0.0801
0.0347 0.3796 0.9170
0.6200 0.6612 0.9171
0.6189 0.9550 0.4147
0.3782 0.3292 0.0810
0.0110 0.7029 0.7534
0.6914 0.9889 0.7537
0.3441 0.9636 0.9180
0.0072 0.3025 0.2527
0.0460 0.6677 0.4144
0.2975 0.3088 0.7535
0.2966 0.9913 0.2526
0.6694 0.6301 0.5828
0.9625 0.3287 0.5833
0.6680 0.0513 0.0800
0.3350 0.3813 0.4138
0.3685 0.0407 0.5829
0.3325 0.6679 0.3148
0.6649 0.3425 0.9772
0.3320 0.6672 0.8188
0.9895 0.9943 0.3508
0.9994 0.9992 0.6587
0.6667 0.3333 0.6898
0.6744 0.3325 0.4758
0.9966 0.0012 0.1456
0.3295 0.6620 0.0183
0.0012 0.0011 0.8520
0.6737 0.3444 0.1861
0.3336 0.6720 0.5186